! DySi2Ag2 PBE-GGA relaxed; values from VASP
&SYSTEM
  ibrav = 0, nat = 5, ntyp = 3
/
ATOMIC_SPECIES
Ag 107.87 Ag.upf
Si 28.09 Si.upf
Dy 162.50 Dy.upf
CELL_PARAMETERS angstrom
-5.790 1.199 1.719
-4.391 1.722 -3.959
4.379 -4.275 0.685
ATOMIC_POSITIONS crystal
Ag 0.750 0.250 0.500
Ag 0.250 0.750 0.500
Si 0.394 0.394 0.000
Si 0.606 0.606 0.000
Dy 0.000 0.000 0.000
! Calculated volume ... 93 Å³/cell
! Total DFT energy (no corrections) ... -23.056 eV per formula unit
! Formation energy ... -387 meV/atom
! Crystal system ... tetragonal
! Space-group type ... I4/mmm